(1)
Density functional theory data (GGA+U) for a relaxed Li3V2O4F2 crystal.

extended XYZ file:
```
44
Lattice="5.937 0.000 0.000 2.947 5.263 0.000 1.268 2.215 14.857" Properties=species:S:1:pos:R:3 pbc="T T T"
Li 0.000 0.000 0.000
Li 1.405 2.464 7.358
Li 2.803 3.141 12.658
Li 4.435 5.781 12.911
Li 3.041 1.791 1.686
Li 4.441 4.274 1.784
Li 5.903 5.120 7.278
Li 7.293 7.264 14.721
Li 5.852 3.279 12.934
Li 5.860 1.793 1.827
Li 8.554 5.055 14.687
Li 8.799 5.141 7.305
V 1.400 0.766 4.790
V 2.936 3.390 4.865
V 2.875 1.513 9.752
V 4.368 4.127 9.651
V 4.371 0.779 4.825
V 5.896 3.385 4.885
V 5.824 1.553 9.840
V 7.317 4.191 9.891
O 2.964 5.255 3.852
O 1.397 2.407 10.814
O 1.437 2.502 3.900
O 2.927 5.051 10.728
O 2.769 3.331 8.716
O 4.304 5.979 8.638
O 2.850 1.544 5.927
O 4.413 4.334 5.922
O 4.399 2.478 3.861
O 5.947 5.218 3.886
O 5.869 4.946 10.749
O 4.441 2.343 10.733
O 7.355 5.850 8.728
O 5.947 3.271 8.704
O 7.399 4.325 5.986
O 5.885 1.564 5.917
F 2.941 3.508 1.054
F 1.476 0.837 1.219
F 5.755 6.827 13.593
F 4.243 4.014 13.383
F 4.463 0.845 1.043
F 5.960 3.507 1.117
F 8.840 6.726 13.579
F 7.396 3.936 13.593
```

Values from the calculation:
* MP2020-corrected energy: -307.1 eV/cell
* energy relative to the elements: -2659 meV per atom



(2)
Density functional theory data (GGA+U) for a relaxed LiV4OF11 crystal.

extended XYZ file:
```
34
Lattice="4.916 -2.603 0.000 4.916 2.603 0.000 -3.978 0.000 17.064" Properties=species:S:1:pos:R:3 pbc="T T T"
Li 0.256 0.000 6.041
Li 5.598 0.000 11.024
V -0.200 -0.121 3.202
V -0.423 -0.021 9.585
V -0.648 -0.097 16.008
V 3.153 0.086 5.221
V 2.701 0.086 11.844
V 6.502 -0.097 1.056
V 6.278 -0.021 7.479
V 6.054 -0.121 13.863
O 1.738 1.578 12.272
O 4.116 1.578 4.792
F 3.164 1.908 2.121
F 1.336 0.551 4.435
F 0.024 0.932 14.460
F 2.302 0.956 6.929
F 2.691 1.908 14.943
F 0.281 -0.940 7.934
F 4.916 0.470 0.000
F 3.552 0.956 10.135
F 5.830 0.932 2.604
F 2.628 -1.117 0.482
F 1.146 -0.729 10.592
F 1.987 -1.547 5.998
F 4.519 0.551 12.630
F 3.680 -1.063 3.774
F 0.385 -1.689 15.374
F 2.174 -1.063 13.291
F 4.709 -0.729 6.472
F 2.927 -2.025 8.532
F 5.469 -1.689 1.690
F 3.227 -1.117 16.583
F 3.868 -1.547 11.067
F 5.573 -0.940 9.130
```

Values from the calculation:
* MP2020-corrected energy: -234.2 eV/cell
* energy relative to the elements: -3108 meV per atom



(3)
Density functional theory data (GGA+U) for a relaxed Li5VO4F crystal.

extended XYZ file:
```
22
Lattice="2.896 -4.505 0.000 2.896 4.505 0.000 -1.851 0.000 8.760" Properties=species:S:1:pos:R:3 pbc="T T T"
Li 0.515 1.525 2.711
Li 1.971 3.442 4.380
Li 0.920 1.062 5.355
Li -0.410 -1.525 7.090
Li 1.354 1.464 8.714
Li 1.845 -1.062 0.976
Li 3.512 1.409 5.455
Li 2.279 -1.464 4.334
Li 2.896 -3.442 0.000
Li 4.437 -1.409 1.075
V 3.586 0.831 2.863
V 2.661 -0.831 7.242
O 1.135 3.504 8.526
O 2.237 1.470 3.885
O 2.387 0.991 7.034
O 4.481 1.443 1.430
O 1.311 -1.470 8.264
O 3.312 -0.991 2.654
O 2.060 -3.504 4.146
O 3.556 -1.443 5.810
F 1.666 1.048 1.099
F 0.741 -1.048 5.479
```

Values from the calculation:
* MP2020-corrected energy: -134.7 eV/cell
* energy relative to the elements: -2455 meV per atom



(4)
Density functional theory data (GGA+U) for a relaxed Li2VOF5 crystal.

extended XYZ file:
```
27
Lattice="4.942 0.000 0.000 -2.471 4.280 0.000 0.000 0.000 13.426" Properties=species:S:1:pos:R:3 pbc="T T T"
Li -2.434 4.219 13.423
Li 0.034 0.062 4.473
Li 2.444 1.421 4.475
Li 2.489 1.407 8.951
Li 2.479 1.453 0.000
Li 2.400 4.278 8.948
V -0.057 2.761 11.190
V -0.051 2.948 6.715
V 0.108 2.850 2.239
O -0.724 1.600 12.127
O -0.723 4.106 7.652
O 1.447 2.853 3.177
F -0.803 1.526 3.201
F -1.548 2.846 1.043
F -0.748 1.501 7.686
F -1.504 2.829 5.523
F -1.513 2.880 9.995
F 0.733 1.529 1.044
F -0.798 4.177 3.211
F 0.780 1.516 5.518
F 0.773 1.562 9.998
F -0.748 4.212 12.152
F 0.732 4.168 1.048
F 1.551 2.821 7.676
F 0.780 4.150 5.520
F 0.767 4.197 9.994
F 1.545 2.882 12.161
```

Values from the calculation:
* MP2020-corrected energy: -161.5 eV/cell
* energy relative to the elements: -2934 meV per atom



(5)
Density functional theory data (GGA+U) for a relaxed LiVOF3 crystal.

extended XYZ file:
```
24
Lattice="-4.227 3.448 -2.129 -6.804 -2.601 1.009 -2.445 5.077 5.729" Properties=species:S:1:pos:R:3 pbc="T T T"
Li -6.599 1.008 0.877
Li -6.532 6.570 2.170
Li -4.435 4.255 2.127
Li -4.504 -1.306 0.831
V -10.175 3.957 4.873
V -3.437 0.993 2.569
V -5.941 1.520 4.201
V -3.428 2.005 -0.232
O -8.632 0.227 -0.166
O -4.339 2.342 3.257
O -11.148 3.928 3.127
O -4.409 0.964 0.824
F -6.937 1.544 2.639
F -6.866 7.103 3.934
F -6.541 3.179 4.793
F -4.030 3.662 0.361
F -8.949 4.934 3.746
F -2.209 1.970 1.442
F -9.120 3.412 1.354
F -4.823 5.525 4.779
F -6.404 -1.010 0.546
F -6.338 4.550 1.843
F -9.639 2.171 4.380
F -7.132 2.656 -0.051
```

Values from the calculation:
* MP2020-corrected energy: -156.8 eV/cell
* energy relative to the elements: -2918 meV per atom



(6)
Density functional theory data (GGA+U) for a relaxed Li3VO3F2 crystal.

extended XYZ file:
```
18
Lattice="4.537 -2.874 0.000 4.537 2.874 0.000 -1.048 0.000 8.000" Properties=species:S:1:pos:R:3 pbc="T T T"
Li 1.405 1.025 2.945
Li 4.013 1.937 4.000
Li 2.686 1.002 6.439
Li 0.881 -1.025 6.946
Li 3.210 -1.002 2.438
Li 4.537 -1.937 0.000
V 5.164 0.980 1.457
V 4.640 -0.980 5.457
O 0.677 0.961 6.789
O 4.581 1.803 0.061
O 1.201 -0.961 2.789
O 4.569 0.744 5.514
O 5.093 -0.744 1.514
O 4.058 -1.803 4.061
F 3.348 0.974 2.403
F 2.824 -0.974 6.404
F 7.021 1.058 0.714
F 6.497 -1.058 4.714
```

Values from the calculation:
* MP2020-corrected energy: -115.2 eV/cell
* energy relative to the elements: -2680 meV per atom